{"formula": "LiVO2", "functional": "PBE+U", "state": "optimized geometry", "rho_g_cm3": 4.006, "vol_a3_per_atom": 9.315, "formation_energy_ev_per_fu": -9.88, "energy_ev_per_atom": -6.92, "spacegroup": "Cm, No. 8", "magnetic_moment_mub_per_fu": 0.000, "lattice": [[4.938, -2.035, 0.000], [4.938, 2.035, 0.000], [-1.674, 0.000, 3.707]], "species": ["Li", "Li", "V", "V", "O", "O", "O", "O"], "fractional_positions": [[0.000, 0.000, 0.000], [0.248, 0.248, 0.751], [0.500, 0.500, 0.500], [0.750, 0.750, 0.252], [0.264, 0.264, 0.266], [0.514, 0.514, 0.015], [0.735, 0.735, 0.738], [0.986, 0.986, 0.486]]}